1.
Compound: LiTiSiO4
Source: the Materials Project database
Functional: PBE-GGA
Structure: relaxed

Cell and atoms, written as POSCAR:
```
LiTiSiO4
1.0
-1.655 -2.108 -4.979
7.584 -3.516 -1.032
-5.793 -14.918 8.242
Li Ti Si O
12 12 12 48
Direct
0.480 0.164 0.917 Li
0.020 0.664 0.917 Li
0.500 0.840 0.750 Li
0.000 0.340 0.750 Li
0.520 0.164 0.583 Li
0.980 0.664 0.583 Li
0.480 0.836 0.417 Li
0.020 0.336 0.417 Li
0.500 0.160 0.250 Li
0.000 0.660 0.250 Li
0.520 0.836 0.083 Li
0.980 0.336 0.083 Li
0.500 0.500 0.000 Ti
0.000 0.000 0.000 Ti
0.998 0.002 0.829 Ti
0.502 0.502 0.829 Ti
0.002 0.002 0.671 Ti
0.498 0.502 0.671 Ti
0.500 0.500 0.500 Ti
0.000 0.000 0.500 Ti
0.998 0.998 0.329 Ti
0.502 0.498 0.329 Ti
0.002 0.998 0.171 Ti
0.498 0.498 0.171 Ti
0.499 0.848 0.916 Si
0.001 0.348 0.916 Si
0.500 0.155 0.750 Si
0.000 0.655 0.750 Si
0.501 0.848 0.584 Si
0.999 0.348 0.584 Si
0.499 0.152 0.416 Si
0.001 0.652 0.416 Si
0.500 0.845 0.250 Si
0.000 0.345 0.250 Si
0.501 0.152 0.084 Si
0.999 0.652 0.084 Si
0.996 0.767 0.011 O
0.496 0.733 0.989 O
0.004 0.233 0.989 O
0.767 0.472 0.916 O
0.234 0.470 0.916 O
0.266 0.970 0.916 O
0.733 0.972 0.916 O
0.497 0.735 0.843 O
0.003 0.235 0.843 O
0.499 0.267 0.823 O
0.001 0.767 0.823 O
0.228 0.529 0.750 O
0.772 0.529 0.750 O
0.728 0.029 0.750 O
0.272 0.029 0.750 O
0.501 0.267 0.677 O
0.999 0.767 0.677 O
0.503 0.735 0.657 O
0.997 0.235 0.657 O
0.233 0.472 0.584 O
0.766 0.470 0.584 O
0.734 0.970 0.584 O
0.267 0.972 0.584 O
0.504 0.733 0.511 O
0.996 0.233 0.511 O
0.496 0.267 0.489 O
0.004 0.767 0.489 O
0.767 0.528 0.416 O
0.234 0.530 0.416 O
0.266 0.030 0.416 O
0.733 0.028 0.416 O
0.497 0.265 0.343 O
0.003 0.765 0.343 O
0.499 0.733 0.323 O
0.001 0.233 0.323 O
0.772 0.471 0.250 O
0.228 0.471 0.250 O
0.272 0.971 0.250 O
0.728 0.971 0.250 O
0.501 0.733 0.177 O
0.999 0.233 0.177 O
0.503 0.265 0.157 O
0.997 0.765 0.157 O
0.233 0.528 0.084 O
0.766 0.530 0.084 O
0.734 0.030 0.084 O
0.267 0.028 0.084 O
0.504 0.267 0.011 O
```

MP2020-corrected energy: -0.296 Ha/atom
Energy above the lowest structure with this stoichiometry: 1 meV/atom



2.
Compound: SbBrF8
Source: the Materials Project database
Functional: PBE-GGA
Structure: relaxed

Cell and atoms, written as POSCAR:
```
SbBrF8
1.0
-4.961 -0.637 3.296
2.190 -9.910 1.383
5.821 2.579 9.259
Sb Br F
4 4 32
Direct
0.883 0.000 0.250 Sb
0.117 0.500 0.250 Sb
0.117 0.000 0.750 Sb
0.883 0.500 0.750 Sb
0.500 0.750 0.051 Br
0.500 0.250 0.449 Br
0.500 0.250 0.949 Br
0.500 0.750 0.551 Br
0.099 0.386 0.817 F
0.099 0.614 0.683 F
0.901 0.886 0.683 F
0.901 0.114 0.817 F
0.901 0.614 0.183 F
0.901 0.386 0.317 F
0.099 0.114 0.317 F
0.099 0.886 0.183 F
0.636 0.889 0.188 F
0.636 0.111 0.312 F
0.364 0.389 0.312 F
0.364 0.611 0.188 F
0.364 0.111 0.812 F
0.364 0.889 0.688 F
0.636 0.611 0.688 F
0.636 0.389 0.812 F
0.618 0.855 0.943 F
0.618 0.145 0.557 F
0.382 0.355 0.557 F
0.382 0.645 0.943 F
0.382 0.145 0.057 F
0.382 0.855 0.443 F
0.618 0.645 0.443 F
0.618 0.355 0.057 F
0.862 0.902 0.393 F
0.862 0.098 0.107 F
0.138 0.402 0.107 F
0.138 0.598 0.393 F
0.138 0.098 0.607 F
0.138 0.902 0.893 F
0.862 0.598 0.893 F
0.862 0.402 0.607 F
```

MP2020-corrected energy: -0.154 Ha/atom



3.
Compound: Ca5Sn3S11
Source: the Materials Project database
Functional: PBE-GGA
Structure: relaxed

Cell and atoms, written as POSCAR:
```
Ca5Sn3S11
1.0
-6.504 -2.636 5.225
-6.309 -2.226 -5.639
3.377 -13.485 -0.626
Ca Sn S
10 6 22
Direct
0.041 0.016 0.242 Ca
0.959 0.984 0.758 Ca
0.900 0.549 0.233 Ca
0.100 0.451 0.767 Ca
0.447 0.078 0.754 Ca
0.553 0.922 0.246 Ca
0.300 0.708 0.997 Ca
0.700 0.292 0.003 Ca
0.666 0.328 0.494 Ca
0.334 0.672 0.506 Ca
0.429 0.453 0.258 Sn
0.571 0.547 0.742 Sn
0.176 0.186 0.467 Sn
0.824 0.814 0.533 Sn
0.216 0.210 0.017 Sn
0.784 0.790 0.983 Sn
0.586 0.599 0.332 S
0.414 0.401 0.668 S
0.317 0.965 0.110 S
0.683 0.035 0.890 S
0.970 0.295 0.109 S
0.030 0.705 0.891 S
0.290 0.951 0.387 S
0.710 0.049 0.613 S
0.944 0.285 0.380 S
0.056 0.715 0.620 S
0.153 0.138 0.863 S
0.847 0.862 0.137 S
0.352 0.372 0.431 S
0.648 0.628 0.569 S
0.844 0.839 0.361 S
0.156 0.161 0.639 S
0.622 0.611 0.044 S
0.378 0.389 0.956 S
0.200 0.618 0.194 S
0.800 0.382 0.806 S
0.600 0.225 0.201 S
0.400 0.775 0.799 S
```

MP2020-corrected energy: -0.187 Ha/atom



4.
Compound: CeMgIn3Rh
Source: the Materials Project database
Functional: PBE-GGA
Structure: relaxed

Cell and atoms, written as POSCAR:
```
CeMgIn3Rh
1.0
0.000 -4.446 0.000
-8.303 0.000 0.000
0.000 0.000 -7.371
Ce Mg In Rh
2 2 6 2
Direct
0.000 0.750 0.600 Ce
0.000 0.250 0.400 Ce
0.000 0.000 0.000 Mg
0.000 0.500 0.000 Mg
0.500 0.446 0.694 In
0.500 0.554 0.306 In
0.500 0.054 0.694 In
0.500 0.946 0.306 In
0.500 0.750 0.942 In
0.500 0.250 0.058 In
0.000 0.750 0.223 Rh
0.000 0.250 0.777 Rh
```



5.
Compound: BaSO3
Source: the Materials Project database
Functional: PBE-GGA
Structure: relaxed

Cell and atoms, written as POSCAR:
```
BaSO3
1.0
-1.670 -2.632 -4.619
-3.847 -1.528 2.262
-4.823 4.699 -0.934
Ba S O
2 2 6
Direct
0.250 0.655 0.726 Ba
0.750 0.345 0.274 Ba
0.250 0.927 0.176 S
0.750 0.073 0.824 S
0.750 0.731 0.871 O
0.469 0.823 0.319 O
0.031 0.823 0.319 O
0.969 0.177 0.681 O
0.531 0.177 0.681 O
0.250 0.269 0.129 O
```

MP2020-corrected energy: -0.249 Ha/atom



6.
Compound: ZnSb2O4
Source: the Materials Project database
Functional: PBE-GGA
Structure: relaxed

Cell and atoms, written as POSCAR:
```
ZnSb2O4
1.0
-3.115 3.532 4.712
3.115 -3.532 4.712
3.115 3.532 -4.712
Zn Sb O
2 4 8
Direct
0.500 0.000 0.000 Zn
0.500 0.500 0.500 Zn
0.902 0.152 0.750 Sb
0.098 0.848 0.250 Sb
0.500 0.500 0.000 Sb
0.000 0.500 0.500 Sb
0.689 0.739 0.950 O
0.242 0.746 0.003 O
0.289 0.739 0.550 O
0.242 0.239 0.497 O
0.758 0.761 0.503 O
0.758 0.254 0.997 O
0.711 0.261 0.450 O
0.311 0.261 0.050 O
```

MP2020-corrected energy: -0.208 Ha/atom
Energy above the lowest structure with this stoichiometry: 274 meV/atom



7.
Compound: LaPrCo4P4
Source: the Materials Project database
Functional: PBE-GGA
Structure: relaxed

Cell and atoms, written as POSCAR:
```
LaPrCo4P4
1.0
3.817 0.000 0.000
0.000 3.817 0.000
0.000 0.000 10.851
La Pr Co P
1 1 4 4
Direct
0.500 0.500 0.500 La
0.000 0.000 0.000 Pr
0.500 0.000 0.247 Co
0.000 0.500 0.753 Co
0.000 0.500 0.247 Co
0.500 0.000 0.753 Co
0.500 0.500 0.142 P
0.000 0.000 0.648 P
0.000 0.000 0.352 P
0.500 0.500 0.858 P
```



8.
Compound: LaCeO4F2
Source: the Materials Project database
Functional: PBE-GGA
Structure: relaxed

Cell and atoms, written as POSCAR:
```
LaCeO4F2
1.0
3.480 2.009 0.000
-3.480 2.009 0.000
0.000 0.000 8.354
La Ce O F
1 1 4 2
Direct
0.333 0.667 0.500 La
0.333 0.667 0.000 Ce
0.667 0.334 0.336 O
0.666 0.333 0.846 O
0.666 0.333 0.154 O
0.667 0.334 0.664 O
0.000 0.000 0.000 F
0.000 0.000 0.500 F
```

MP2020-corrected energy: -0.261 Ha/atom



9.
Compound: MgS2O9
Source: the Materials Project database
Functional: PBE-GGA
Structure: relaxed

Cell and atoms, written as POSCAR:
```
MgS2O9
1.0
0.000 0.000 6.762
8.275 0.000 0.000
0.000 12.573 0.000
Mg S O
4 8 36
Direct
0.500 0.500 0.000 Mg
0.000 0.000 0.500 Mg
0.500 0.500 0.500 Mg
0.000 0.000 0.000 Mg
0.686 0.616 0.250 S
0.814 0.116 0.250 S
0.314 0.384 0.750 S
0.186 0.884 0.750 S
0.059 0.502 0.250 S
0.441 0.002 0.250 S
0.941 0.498 0.750 S
0.559 0.998 0.750 S
0.028 0.417 0.151 O
0.472 0.917 0.349 O
0.972 0.583 0.651 O
0.528 0.083 0.849 O
0.972 0.583 0.849 O
0.528 0.083 0.651 O
0.028 0.417 0.349 O
0.472 0.917 0.151 O
0.200 0.634 0.250 O
0.300 0.134 0.250 O
0.800 0.366 0.750 O
0.700 0.866 0.750 O
0.348 0.282 0.054 O
0.152 0.782 0.446 O
0.652 0.718 0.554 O
0.848 0.218 0.946 O
0.652 0.718 0.946 O
0.848 0.218 0.554 O
0.348 0.282 0.446 O
0.152 0.782 0.054 O
0.605 0.539 0.152 O
0.895 0.039 0.348 O
0.395 0.461 0.652 O
0.105 0.961 0.848 O
0.395 0.461 0.848 O
0.105 0.961 0.652 O
0.605 0.539 0.348 O
0.895 0.039 0.152 O
0.746 0.311 0.005 O
0.754 0.811 0.495 O
0.254 0.689 0.505 O
0.246 0.189 0.995 O
0.254 0.689 0.995 O
0.246 0.189 0.505 O
0.746 0.311 0.495 O
0.754 0.811 0.005 O
```

MP2020-corrected energy: -0.202 Ha/atom



10.
Compound: PrSi2Pt2
Source: the Materials Project database
Functional: PBE-GGA
Structure: relaxed

Cell and atoms, written as POSCAR:
```
PrSi2Pt2
1.0
-2.133 2.133 5.008
2.133 -2.133 5.008
2.133 2.133 -5.008
Pr Si Pt
1 2 2
Direct
0.000 0.000 0.000 Pr
0.379 0.379 0.000 Si
0.621 0.621 0.000 Si
0.250 0.750 0.500 Pt
0.750 0.250 0.500 Pt
```



11.
Compound: CsHg2
Source: the Materials Project database
Functional: PBE-GGA
Structure: relaxed

Cell and atoms, written as POSCAR:
```
CsHg2
1.0
5.787 0.000 0.000
2.893 4.498 4.760
2.893 -4.498 4.760
Cs Hg
2 4
Direct
0.940 0.310 0.810 Cs
0.060 0.690 0.190 Cs
0.666 0.906 0.762 Hg
0.334 0.094 0.238 Hg
0.666 0.262 0.406 Hg
0.334 0.738 0.594 Hg
```



12.
Compound: NpO
Source: the Materials Project database
Functional: PBE-GGA
Structure: relaxed

Cell and atoms, written as POSCAR:
```
NpO
1.0
1.834 -1.849 -2.240
-0.448 -3.400 -0.194
-1.531 -1.377 -2.750
Np O
1 1
Direct
0.000 0.000 0.000 Np
0.500 0.500 0.500 O
```

MP2020-corrected energy: -0.422 Ha/atom



13.
Compound: Ga4Fe3
Source: the Materials Project database
Functional: PBE-GGA
Structure: relaxed

Cell and atoms, written as POSCAR:
```
Ga4Fe3
1.0
-4.657 -3.215 -2.827
-1.427 -4.722 3.960
-6.409 2.671 3.643
Ga Fe
12 9
Direct
0.270 0.270 0.917 Ga
0.730 0.730 0.083 Ga
0.041 0.041 0.653 Ga
0.959 0.959 0.347 Ga
0.404 0.811 0.849 Ga
0.811 0.404 0.849 Ga
0.596 0.189 0.151 Ga
0.189 0.596 0.151 Ga
0.166 0.538 0.551 Ga
0.538 0.166 0.551 Ga
0.834 0.462 0.449 Ga
0.462 0.834 0.449 Ga
0.000 0.000 0.000 Fe
0.495 0.495 0.689 Fe
0.505 0.505 0.311 Fe
0.224 0.224 0.359 Fe
0.776 0.776 0.641 Fe
0.934 0.338 0.152 Fe
0.338 0.934 0.152 Fe
0.066 0.662 0.848 Fe
0.662 0.066 0.848 Fe
```



Ordered ΔE_f results: -3057.1 -2082.4 -1531.3 -469.7 -2600.1 -1476.0 -982.1 -2779.0 -962.5 -1020.5 -257.0 -2544.3 -178.6; unit meV per atom.
Ordered energy results: -7.668 -3.821 -4.796 -4.328 -6.368 -5.271 -6.962 -6.742 -5.375 -6.575 -0.758 -11.149 -5.539; unit eV per atom.